Li5Nb6NiO18: optimized geometry, PBE+U.

The structure in extended XYZ format:
```
60
Lattice="7.6710 0.0000 0.0000 -3.5655 8.3147 0.0000 -1.0895 -3.7614 10.5359" Properties=species:S:1:pos:R:3 pbc="T T T"
Li 0.0000 0.0000 0.0000
Li -0.5444 -1.8748 5.2625
Li -0.2727 1.5159 3.5042
Li -0.5436 3.0327 7.0214
Li 0.0041 4.9197 1.7518
Li 2.7511 -3.7588 10.5339
Li 3.2939 -1.8737 5.2665
Li 3.0175 -0.3538 8.7764
Li 3.8330 4.9153 1.7503
Li 3.2909 3.0411 7.0239
Nb -2.4229 2.2439 9.2812
Nb -1.8694 4.1109 4.0225
Nb -1.6084 7.4979 2.2545
Nb 1.4233 -2.6863 7.5279
Nb 2.2208 2.5945 0.4957
Nb 1.6755 0.7149 5.7828
Nb 1.9447 4.1259 4.0086
Nb 1.4161 2.2518 9.2734
Nb 1.6702 5.6278 7.5103
Nb 2.2325 7.4935 2.2396
Nb 6.0561 2.5859 0.5153
Nb 5.5108 0.7171 5.7601
Ni -0.8251 -0.3565 8.8102
Ni 3.5578 1.4971 3.5330
O 0.1955 -0.1005 2.2377
O -0.3518 -1.9670 7.5015
O -1.0993 3.0369 2.2906
O -1.6363 1.1812 7.5296
O -2.0009 5.6556 2.4739
O -2.5427 3.7765 7.7480
O -1.3666 2.6435 5.1151
O -1.8979 0.7631 10.3927
O 0.4457 2.0141 0.0882
O -0.0865 0.1779 5.3115
O -1.7284 7.2878 0.0920
O -2.2698 5.4081 5.3555
O 0.1754 4.8293 3.9950
O -0.3655 2.9429 9.2619
O 1.9239 -2.2456 9.3061
O 2.4849 -0.3708 4.0490
O 1.5364 2.2694 4.2364
O 2.7462 1.1160 1.5693
O 2.1923 -0.7606 6.8736
O 1.0522 0.3897 9.4900
O -0.0966 5.0855 7.0553
O 0.4492 6.9729 1.7938
O 1.8367 3.8893 1.8518
O 1.2903 2.0153 7.1188
O 4.2925 3.2996 0.4850
O 3.7352 1.4237 5.8166
O 2.4645 4.5468 5.7994
O 3.0132 6.4345 0.5361
O 5.6707 0.7345 0.7212
O 5.1285 -1.1467 5.9930
O 2.7360 6.0300 3.3671
O 2.1966 4.1660 8.6271
O 4.0280 3.5681 3.5411
O 3.4837 1.7014 8.8201
O 4.8300 -1.3977 8.8628
O 5.4376 0.4867 3.5869
```

Output
For the total magnetization, the calculation gives 0.033 μB per atom. The total energy comes out at -0.2853 Ha/atom. The symmetry is P1, No. 1. The value obtained for the formation energy from the elements is -2761 meV/atom.